# 1
# CuAu

Crystalline CuAu at its relaxed geometry (PBE, the Materials Project database).

Calculated values
The total energy comes out at -0.27382 Ry/atom. The calculation puts the energy of formation from the pure elements at -0.039 eV per atom.

Cell lengths 3.663, 4.046, 40.504 Å; angles 90.00, 90.00, 90.00 degrees
Space group Imma (No. 74)
Asymmetric unit:
Cu: 0.000 0.250 0.025 [4 per cell]
Cu: 0.000 0.250 0.125 [4 per cell]
Cu: 0.000 0.250 0.227 [4 per cell]
Cu: 0.000 0.250 0.825 [4 per cell]
Cu: 0.000 0.250 0.926 [4 per cell]
Au: 0.000 0.250 0.325 [4 per cell]
Au: 0.000 0.250 0.425 [4 per cell]
Au: 0.000 0.250 0.525 [4 per cell]
Au: 0.000 0.250 0.624 [4 per cell]
Au: 0.000 0.250 0.723 [4 per cell]

---

# 2
# CuAu3

Crystalline CuAu3 at its relaxed geometry (PBE, the Materials Project database).

Calculated values
The total energy comes out at -0.25709 Ry/atom. The calculation puts the energy of formation from the pure elements at -0.018 eV per atom.

Cell lengths 4.053, 4.053, 4.053 Å; angles 90.00, 90.00, 90.00 degrees
Space group Pm-3m (No. 221)
Asymmetric unit:
Cu: 0.000 0.000 0.000 [1 per cell]
Au: 0.000 0.500 0.500 [3 per cell]

---

# 3
# CuAu3

Crystalline CuAu3 at its relaxed geometry (PBE, the Materials Project database).

Calculated values
The total energy comes out at -0.25670 Ry/atom. The calculation puts the energy of formation from the pure elements at -0.012 eV per atom.

Cell lengths 4.023, 4.023, 8.257 Å; angles 90.00, 90.00, 90.00 degrees
Space group I4/mmm (No. 139)
Asymmetric unit:
Cu: 0.000 0.000 0.000 [2 per cell]
Au: 0.000 0.000 0.500 [2 per cell]
Au: 0.000 0.500 0.250 [4 per cell]

---

# 4
# Cu4Au

Crystalline Cu4Au at its relaxed geometry (PBE, the Materials Project database).

Calculated values
The total energy comes out at -0.28439 Ry/atom. The calculation puts the energy of formation from the pure elements at 0.065 eV per atom.

Cell lengths 2.7089, 2.7089, 31.5116 Å; angles 90.00, 90.00, 120.00 degrees
Space group R-3m (No. 166, hexagonal axes)
Asymmetric unit:
Cu: 0.0000 0.0000 0.0942 [6 per cell]
Cu: 0.0000 0.0000 0.3020 [6 per cell]
Au: 0.0000 0.0000 0.5000 [3 per cell]

---

# 5
# CuAu

Crystalline CuAu at its relaxed geometry (PBE, the Materials Project database).

Calculated values
The total energy comes out at -0.27449 Ry/atom. The calculation puts the energy of formation from the pure elements at -0.048 eV per atom.

Cell lengths 2.864, 2.864, 3.662 Å; angles 90.00, 90.00, 90.00 degrees
Space group P4/mmm (No. 123)
Asymmetric unit:
Cu: 0.000 0.000 0.000 [1 per cell]
Au: 0.500 0.500 0.500 [1 per cell]

---

# 6
# K2CuAuF6

Crystalline K2CuAuF6 at its relaxed geometry (PBE, the Materials Project database).

Calculated values
The total energy comes out at -0.29084 Ry/atom. The calculation puts the energy of formation from the pure elements at -2.126 eV per atom.

Cell lengths 8.543, 8.543, 8.543 Å; angles 90.00, 90.00, 90.00 degrees
Space group Fm-3m (No. 225)
Asymmetric unit:
K: 0.250 0.250 0.250 [8 per cell]
Cu: 0.000 0.000 0.000 [4 per cell]
Au: 0.000 0.000 0.500 [4 per cell]
F: 0.000 0.000 0.235 [24 per cell]

---

- Number 1 is which compound?
  CuAu